Entry 1
A geometry-optimized Sb3Au structure. Source: the Materials Project, functional PBE-GGA.

Unit cell a=3.063 b=3.063 c=11.815 alpha=90.00 beta=90.00 gamma=90.00
Element x y z (fractional)
Sb 0.000 0.000 0.231
Sb 0.000 0.000 0.500
Sb 0.000 0.000 0.769
Au 0.000 0.000 0.000

Results
* crystal system: tetragonal


Entry 2
A geometry-optimized Sb3Au structure. Source: the Materials Project, functional PBE-GGA.

Unit cell a=5.169 b=5.169 c=5.169 alpha=109.47 beta=109.47 gamma=109.47
Element x y z (fractional)
Sb 0.500 0.000 0.500
Sb 0.500 0.500 0.000
Sb 0.000 0.500 0.500
Au 0.000 0.000 0.000

Results
* crystal system: cubic


Winner for stability: entry 2


Entry 1
A geometry-optimized Tb5SbAu2 structure. Source: the Materials Project, functional PBE-GGA.

Unit cell a=8.699 b=8.699 c=8.699 alpha=124.11 beta=124.11 gamma=83.01
Element x y z (fractional)
Tb 0.500 0.500 0.000
Tb 0.000 0.000 0.000
Tb 0.515 0.015 0.814
Tb 0.201 0.701 0.186
Tb 0.015 0.201 0.500
Tb 0.701 0.515 0.500
Tb 0.485 0.985 0.186
Tb 0.799 0.299 0.814
Tb 0.985 0.799 0.500
Tb 0.299 0.485 0.500
Sb 0.250 0.250 0.000
Sb 0.750 0.750 0.000
Au 0.136 0.636 0.773
Au 0.864 0.364 0.227
Au 0.636 0.864 0.500
Au 0.364 0.136 0.500

Results
* crystal system: tetragonal


Entry 2
A geometry-optimized Tb5SbAu2 structure. Source: the Materials Project, functional PBE-GGA.

Unit cell a=10.171 b=10.171 c=10.171 alpha=137.21 beta=137.21 gamma=62.11
Element x y z (fractional)
Tb 0.999 0.499 0.830
Tb 0.001 0.501 0.170
Tb 0.831 0.001 0.500
Tb 0.501 0.331 0.500
Tb 0.169 0.999 0.500
Tb 0.669 0.169 0.170
Tb 0.499 0.669 0.500
Tb 0.500 0.500 0.000
Tb 0.000 0.000 0.000
Tb 0.331 0.831 0.830
Sb 0.250 0.250 0.000
Sb 0.750 0.750 0.000
Au 0.127 0.627 0.754
Au 0.627 0.873 0.500
Au 0.373 0.127 0.500
Au 0.873 0.373 0.246

Results
* crystal system: tetragonal


Winner for stability: entry 1


Entry 1
A geometry-optimized Sc2SnAu2 structure. Source: the Materials Project, functional PBE-GGA.

Unit cell a=7.754 b=7.754 c=3.473 alpha=90.00 beta=90.00 gamma=90.00
Element x y z (fractional)
Sc 0.168 0.332 0.000
Sc 0.832 0.668 0.000
Sc 0.668 0.168 0.000
Sc 0.332 0.832 0.000
Sn 0.000 0.000 0.500
Sn 0.500 0.500 0.500
Au 0.371 0.129 0.500
Au 0.629 0.871 0.500
Au 0.871 0.371 0.500
Au 0.129 0.629 0.500

Results
* crystal system: tetragonal


Entry 2
A geometry-optimized Sc2SnAu2 structure. Source: the Materials Project, functional PBE-GGA.

Unit cell a=7.684 b=7.684 c=7.067 alpha=90.00 beta=90.00 gamma=90.00
Element x y z (fractional)
Sc 0.151 0.151 0.000
Sc 0.849 0.849 0.000
Sc 0.651 0.349 0.500
Sc 0.349 0.651 0.500
Sc 0.684 0.316 0.000
Sc 0.316 0.684 0.000
Sc 0.816 0.816 0.500
Sc 0.184 0.184 0.500
Sn 0.500 0.000 0.250
Sn 0.500 0.000 0.750
Sn 0.000 0.500 0.250
Sn 0.000 0.500 0.750
Au 0.370 0.370 0.216
Au 0.630 0.630 0.784
Au 0.630 0.630 0.216
Au 0.870 0.130 0.716
Au 0.870 0.130 0.284
Au 0.370 0.370 0.784
Au 0.130 0.870 0.284
Au 0.130 0.870 0.716

Results
* crystal system: tetragonal


Winner for stability: entry 2


Entry 1
A geometry-optimized V3Au structure. Source: the Materials Project, functional PBE-GGA.

Unit cell a=4.881 b=4.881 c=4.881 alpha=90.00 beta=90.00 gamma=90.00
Element x y z (fractional)
V 0.500 0.250 0.000
V 0.500 0.750 0.000
V 0.250 0.000 0.500
V 0.750 0.000 0.500
V 0.000 0.500 0.250
V 0.000 0.500 0.750
Au 0.500 0.500 0.500
Au 0.000 0.000 0.000

Results
* crystal system: cubic


Entry 2
A geometry-optimized V3Au structure. Source: the Materials Project, functional PBE-GGA.

Unit cell a=3.878 b=3.878 c=3.878 alpha=90.00 beta=90.00 gamma=90.00
Element x y z (fractional)
V 0.500 0.500 0.000
V 0.500 0.000 0.500
V 0.000 0.500 0.500
Au 0.000 0.000 0.000

Results
* crystal system: cubic


Winner for stability: entry 1


Entry 1
A geometry-optimized BaB2F8 structure. Source: the Materials Project, functional PBE-GGA.

Unit cell a=6.874 b=6.874 c=4.856 alpha=69.63 beta=69.63 gamma=43.64
Element x y z (fractional)
Ba 0.000 0.000 0.000
B 0.348 0.348 0.709
B 0.652 0.652 0.291
F 0.612 0.157 0.533
F 0.770 0.770 0.149
F 0.157 0.612 0.533
F 0.399 0.399 0.926
F 0.843 0.388 0.467
F 0.388 0.843 0.467
F 0.230 0.230 0.851
F 0.601 0.601 0.074

Results
* crystal system: monoclinic


Entry 2
A geometry-optimized BaB2F8 structure. Source: the Materials Project, functional PBE-GGA.

Unit cell a=16.594 b=8.479 c=10.994 alpha=64.61 beta=90.00 gamma=90.00
Element x y z (fractional)
Ba 0.904 0.521 0.736
Ba 0.157 0.999 0.726
Ba 0.343 0.999 0.226
Ba 0.657 0.001 0.774
Ba 0.596 0.521 0.236
Ba 0.843 0.001 0.274
Ba 0.096 0.479 0.264
Ba 0.404 0.479 0.764
B 0.754 0.279 0.935
B 0.009 0.760 0.437
B 0.491 0.760 0.937
B 0.237 0.247 0.930
B 0.254 0.721 0.565
B 0.246 0.721 0.065
B 0.263 0.247 0.430
B 0.509 0.240 0.063
B 0.507 0.239 0.575
B 0.746 0.279 0.435
B 0.493 0.761 0.425
B 0.737 0.753 0.570
B 0.993 0.239 0.075
B 0.007 0.761 0.925
B 0.991 0.240 0.563
B 0.763 0.753 0.070
F 0.571 0.691 0.932
F 0.438 0.717 0.855
F 0.685 0.828 0.078
F 0.001 0.940 0.392
F 0.193 0.761 0.637
F 0.763 0.460 0.890
F 0.519 0.059 0.615
F 0.287 0.164 0.566
F 0.929 0.691 0.432
F 0.751 0.575 0.112
F 0.071 0.309 0.568
F 0.557 0.731 0.352
F 0.330 0.786 0.592
F 0.263 0.540 0.610
F 0.992 0.673 0.065
F 0.317 0.213 0.346
F 0.466 0.679 0.074
F 0.580 0.307 0.607
F 0.499 0.940 0.892
F 0.429 0.309 0.068
F 0.481 0.941 0.385
F 0.807 0.239 0.363
F 0.170 0.786 0.092
F 0.492 0.327 0.435
F 0.315 0.172 0.922
F 0.008 0.327 0.935
F 0.815 0.828 0.578
F 0.761 0.194 0.575
F 0.239 0.806 0.425
F 0.443 0.269 0.648
F 0.562 0.283 0.145
F 0.251 0.425 0.388
F 0.237 0.540 0.110
F 0.981 0.059 0.115
F 0.213 0.164 0.066
F 0.670 0.214 0.408
F 0.420 0.693 0.393
F 0.501 0.060 0.108
F 0.019 0.941 0.885
F 0.057 0.269 0.148
F 0.261 0.806 0.925
F 0.183 0.213 0.846
F 0.920 0.307 0.107
F 0.817 0.787 0.154
F 0.693 0.239 0.863
F 0.683 0.787 0.654
F 0.999 0.060 0.608
F 0.938 0.283 0.645
F 0.943 0.731 0.852
F 0.080 0.693 0.893
F 0.534 0.321 0.926
F 0.034 0.679 0.574
F 0.062 0.717 0.355
F 0.185 0.172 0.422
F 0.713 0.836 0.434
F 0.307 0.761 0.137
F 0.739 0.194 0.075
F 0.249 0.425 0.888
F 0.737 0.460 0.390
F 0.787 0.836 0.934
F 0.508 0.673 0.565
F 0.966 0.321 0.426
F 0.830 0.214 0.908
F 0.749 0.575 0.612

Results
* crystal system: monoclinic


Winner for stability: entry 1